No. 1
Computed, not measured: an optimized crystal structure of Na7NbGa3Si3P3O24 at the PBE level of DFT.

Unit cell a=8.940 b=8.912 c=21.984 alpha=90.03 beta=90.11 gamma=120.08
Atoms (fractional coordinates):
Na (0.630, 0.998, 0.252)
Na (0.368, 0.371, 0.252)
Na (0.002, 0.633, 0.253)
Na (0.639, 0.629, 0.745)
Na (0.994, 0.358, 0.744)
Na (0.297, 0.339, 0.584)
Na (0.036, 0.701, 0.583)
Na (0.666, 0.962, 0.581)
Na (0.300, 0.965, 0.084)
Na (0.663, 0.700, 0.085)
Na (0.040, 0.333, 0.082)
Na (0.324, 0.296, 0.914)
Na (0.974, 0.298, 0.416)
Na (0.327, 0.028, 0.416)
Na (0.700, 0.674, 0.416)
Na (0.998, 0.000, 0.500)
Na (0.992, 0.996, 0.997)
Na (0.664, 0.324, 0.828)
Na (0.666, 0.332, 0.332)
Na (0.336, 0.667, 0.167)
Na (0.334, 0.672, 0.660)
Nb (0.670, 0.328, 0.979)
Nb (0.672, 0.338, 0.480)
Nb (0.327, 0.664, 0.811)
Ga (0.999, 0.999, 0.354)
Ga (0.001, 0.006, 0.851)
Ga (0.998, 0.005, 0.648)
Ga (0.002, 0.006, 0.148)
Ga (0.658, 0.331, 0.683)
Ga (0.661, 0.330, 0.182)
Ga (0.339, 0.664, 0.018)
Ga (0.333, 0.661, 0.516)
Ga (0.333, 0.666, 0.321)
Si (0.293, 0.278, 0.750)
Si (0.962, 0.335, 0.588)
Si (0.667, 0.631, 0.587)
Si (0.665, 0.035, 0.087)
Si (0.372, 0.334, 0.085)
Si (0.041, 0.370, 0.919)
Si (0.622, 0.952, 0.416)
Si (0.329, 0.375, 0.415)
Si (0.050, 0.672, 0.416)
P (0.289, 0.999, 0.249)
P (0.711, 0.709, 0.249)
P (0.000, 0.293, 0.249)
P (0.999, 0.718, 0.750)
P (0.713, 0.004, 0.750)
P (0.376, 0.041, 0.585)
P (0.958, 0.624, 0.086)
P (0.632, 0.676, 0.917)
P (0.326, 0.951, 0.919)
O (0.207, 0.032, 0.306)
O (0.825, 0.791, 0.306)
O (0.965, 0.177, 0.306)
O (0.208, 0.176, 0.812)
O (0.967, 0.800, 0.806)
O (0.828, 0.035, 0.806)
O (0.781, 0.957, 0.692)
O (0.166, 0.208, 0.691)
O (0.032, 0.823, 0.691)
O (0.794, 0.824, 0.191)
O (0.033, 0.212, 0.192)
O (0.175, 0.967, 0.192)
O (0.870, 0.369, 0.646)
O (0.496, 0.125, 0.640)
O (0.626, 0.504, 0.645)
O (0.879, 0.508, 0.142)
O (0.626, 0.122, 0.145)
O (0.500, 0.378, 0.144)
O (0.468, 0.301, 0.025)
O (0.835, 0.533, 0.030)
O (0.703, 0.171, 0.028)
O (0.460, 0.157, 0.527)
O (0.698, 0.535, 0.526)
O (0.834, 0.301, 0.527)
O (0.550, 0.701, 0.975)
O (0.164, 0.461, 0.977)
O (0.307, 0.847, 0.977)
O (0.541, 0.835, 0.476)
O (0.290, 0.453, 0.476)
O (0.167, 0.709, 0.476)
O (0.120, 0.621, 0.355)
O (0.501, 0.880, 0.354)
O (0.380, 0.498, 0.355)
O (0.137, 0.497, 0.859)
O (0.359, 0.865, 0.863)
O (0.508, 0.640, 0.861)
O (0.020, 0.837, 0.409)
O (0.816, 0.979, 0.409)
O (0.161, 0.181, 0.408)
O (0.025, 0.183, 0.911)
O (0.171, 0.977, 0.913)
O (0.811, 0.831, 0.909)
O (0.974, 0.158, 0.588)
O (0.197, 0.028, 0.589)
O (0.847, 0.818, 0.589)
O (0.971, 0.803, 0.089)
O (0.839, 0.020, 0.089)
O (0.185, 0.155, 0.089)
O (0.696, 0.166, 0.744)
O (0.492, 0.319, 0.746)
O (0.844, 0.530, 0.747)
O (0.695, 0.526, 0.245)
O (0.835, 0.312, 0.244)
O (0.473, 0.166, 0.246)
O (0.634, 0.501, 0.922)
O (0.852, 0.361, 0.922)
O (0.493, 0.138, 0.922)
O (0.642, 0.147, 0.422)
O (0.503, 0.354, 0.422)
O (0.853, 0.495, 0.422)
O (0.353, 0.506, 0.079)
O (0.138, 0.644, 0.078)
O (0.490, 0.849, 0.076)
O (0.358, 0.861, 0.579)
O (0.496, 0.650, 0.579)
O (0.149, 0.510, 0.580)
O (0.308, 0.835, 0.253)
O (0.528, 0.691, 0.252)
O (0.165, 0.476, 0.254)
O (0.314, 0.482, 0.757)
O (0.165, 0.695, 0.757)
O (0.529, 0.837, 0.758)

Computed properties:
M_tot   0.000 Bohr magnetons per cell

=====

No. 2
Computed, not measured: an optimized crystal structure of Na8NbGa3Si4P2O24 at the PBE level of DFT.

Unit cell a=8.967 b=8.976 c=21.951 alpha=89.69 beta=89.90 gamma=119.93
Atoms (fractional coordinates):
Na (0.629, 0.997, 0.254)
Na (0.370, 0.372, 0.252)
Na (0.003, 0.630, 0.252)
Na (0.638, 0.631, 0.742)
Na (0.992, 0.360, 0.744)
Na (0.371, 0.010, 0.747)
Na (0.296, 0.337, 0.584)
Na (0.039, 0.703, 0.582)
Na (0.667, 0.959, 0.582)
Na (0.293, 0.959, 0.082)
Na (0.663, 0.703, 0.084)
Na (0.042, 0.339, 0.085)
Na (0.972, 0.678, 0.914)
Na (0.707, 0.031, 0.912)
Na (0.321, 0.290, 0.912)
Na (0.974, 0.297, 0.415)
Na (0.326, 0.028, 0.415)
Na (0.701, 0.675, 0.415)
Na (0.998, 0.000, 0.500)
Na (0.002, 0.000, 0.999)
Na (0.664, 0.329, 0.827)
Na (0.666, 0.332, 0.331)
Na (0.331, 0.664, 0.167)
Na (0.335, 0.664, 0.660)
Nb (0.664, 0.336, 0.980)
Nb (0.672, 0.338, 0.479)
Nb (0.336, 0.665, 0.812)
Ga (0.000, 0.000, 0.354)
Ga (0.002, 0.007, 0.851)
Ga (0.992, 0.004, 0.647)
Ga (0.005, 0.999, 0.148)
Ga (0.664, 0.332, 0.684)
Ga (0.669, 0.338, 0.182)
Ga (0.327, 0.660, 0.018)
Ga (0.332, 0.659, 0.516)
Ga (0.336, 0.668, 0.321)
Si (0.289, 0.284, 0.748)
Si (0.714, 0.005, 0.749)
Si (0.963, 0.336, 0.587)
Si (0.667, 0.629, 0.587)
Si (0.963, 0.629, 0.087)
Si (0.370, 0.335, 0.088)
Si (0.626, 0.673, 0.920)
Si (0.043, 0.372, 0.919)
Si (0.329, 0.954, 0.919)
Si (0.622, 0.952, 0.416)
Si (0.329, 0.375, 0.415)
Si (0.051, 0.672, 0.416)
P (0.293, 0.000, 0.249)
P (0.711, 0.711, 0.249)
P (0.998, 0.288, 0.249)
P (0.999, 0.715, 0.750)
P (0.374, 0.040, 0.586)
P (0.666, 0.042, 0.087)
O (0.209, 0.031, 0.306)
O (0.823, 0.794, 0.306)
O (0.970, 0.176, 0.306)
O (0.209, 0.171, 0.811)
O (0.973, 0.795, 0.808)
O (0.827, 0.034, 0.811)
O (0.786, 0.953, 0.690)
O (0.166, 0.204, 0.689)
O (0.036, 0.827, 0.693)
O (0.795, 0.824, 0.191)
O (0.025, 0.203, 0.191)
O (0.181, 0.971, 0.191)
O (0.872, 0.368, 0.645)
O (0.486, 0.123, 0.642)
O (0.631, 0.504, 0.645)
O (0.876, 0.502, 0.145)
O (0.636, 0.127, 0.143)
O (0.495, 0.368, 0.146)
O (0.466, 0.301, 0.027)
O (0.835, 0.530, 0.027)
O (0.694, 0.159, 0.029)
O (0.465, 0.157, 0.528)
O (0.691, 0.528, 0.526)
O (0.836, 0.306, 0.527)
O (0.540, 0.706, 0.979)
O (0.161, 0.456, 0.978)
O (0.299, 0.836, 0.979)
O (0.539, 0.834, 0.476)
O (0.291, 0.453, 0.475)
O (0.167, 0.707, 0.476)
O (0.123, 0.623, 0.355)
O (0.502, 0.879, 0.355)
O (0.378, 0.498, 0.354)
O (0.131, 0.499, 0.859)
O (0.365, 0.865, 0.859)
O (0.500, 0.633, 0.860)
O (0.020, 0.836, 0.409)
O (0.816, 0.980, 0.409)
O (0.163, 0.182, 0.408)
O (0.019, 0.182, 0.913)
O (0.162, 0.978, 0.912)
O (0.818, 0.834, 0.911)
O (0.975, 0.160, 0.586)
O (0.196, 0.027, 0.588)
O (0.848, 0.814, 0.587)
O (0.970, 0.815, 0.089)
O (0.833, 0.030, 0.089)
O (0.181, 0.160, 0.089)
O (0.687, 0.172, 0.744)
O (0.485, 0.314, 0.745)
O (0.841, 0.531, 0.747)
O (0.693, 0.528, 0.246)
O (0.831, 0.304, 0.246)
O (0.477, 0.164, 0.245)
O (0.637, 0.494, 0.922)
O (0.852, 0.358, 0.923)
O (0.507, 0.144, 0.922)
O (0.642, 0.146, 0.423)
O (0.502, 0.353, 0.422)
O (0.855, 0.497, 0.422)
O (0.359, 0.509, 0.080)
O (0.153, 0.649, 0.080)
O (0.506, 0.864, 0.081)
O (0.358, 0.862, 0.580)
O (0.496, 0.648, 0.579)
O (0.150, 0.510, 0.579)
O (0.310, 0.836, 0.253)
O (0.528, 0.693, 0.253)
O (0.161, 0.470, 0.252)
O (0.307, 0.479, 0.755)
O (0.165, 0.695, 0.755)
O (0.516, 0.831, 0.755)

Computed properties:
M_tot   0.000 Bohr magnetons per cell

=====

No. 3
Computed, not measured: an optimized crystal structure of Na7Nb2Ga2Si5PO24 at the PBE level of DFT.

Unit cell a=9.013 b=9.015 c=22.185 alpha=89.69 beta=90.03 gamma=119.88
Atoms (fractional coordinates):
Na (0.640, 0.011, 0.249)
Na (0.372, 0.363, 0.247)
Na (0.989, 0.626, 0.248)
Na (0.637, 0.626, 0.748)
Na (0.989, 0.361, 0.748)
Na (0.374, 0.012, 0.748)
Na (0.305, 0.342, 0.582)
Na (0.039, 0.697, 0.581)
Na (0.657, 0.960, 0.581)
Na (0.301, 0.962, 0.080)
Na (0.042, 0.345, 0.082)
Na (0.973, 0.678, 0.915)
Na (0.322, 0.292, 0.915)
Na (0.323, 0.028, 0.415)
Na (0.707, 0.676, 0.415)
Na (0.998, 0.005, 0.494)
Na (0.989, 0.996, 0.995)
Na (0.667, 0.325, 0.829)
Na (0.674, 0.333, 0.330)
Na (0.339, 0.663, 0.160)
Na (0.335, 0.667, 0.662)
Nb (0.999, 0.999, 0.647)
Nb (0.001, 0.997, 0.146)
Nb (0.666, 0.331, 0.980)
Nb (0.674, 0.332, 0.480)
Nb (0.330, 0.669, 0.313)
Nb (0.331, 0.670, 0.813)
Ga (0.993, 0.998, 0.350)
Ga (0.002, 0.006, 0.851)
Ga (0.666, 0.333, 0.684)
Ga (0.668, 0.341, 0.185)
Ga (0.327, 0.658, 0.017)
Ga (0.336, 0.673, 0.518)
Si (0.294, 0.007, 0.252)
Si (0.711, 0.706, 0.252)
Si (0.995, 0.286, 0.251)
Si (0.295, 0.290, 0.752)
Si (0.994, 0.707, 0.753)
Si (0.712, 0.005, 0.752)
Si (0.963, 0.339, 0.586)
Si (0.379, 0.042, 0.585)
Si (0.661, 0.621, 0.584)
Si (0.958, 0.623, 0.085)
Si (0.381, 0.345, 0.085)
Si (0.040, 0.367, 0.918)
Si (0.331, 0.956, 0.920)
Si (0.631, 0.958, 0.418)
Si (0.043, 0.671, 0.419)
P (0.662, 0.039, 0.085)
P (0.623, 0.673, 0.919)
P (0.327, 0.374, 0.419)
O (0.207, 0.039, 0.311)
O (0.830, 0.788, 0.311)
O (0.960, 0.161, 0.307)
O (0.211, 0.170, 0.810)
O (0.963, 0.795, 0.811)
O (0.839, 0.039, 0.808)
O (0.797, 0.964, 0.691)
O (0.166, 0.202, 0.692)
O (0.036, 0.834, 0.692)
O (0.803, 0.840, 0.194)
O (0.035, 0.202, 0.190)
O (0.165, 0.964, 0.193)
O (0.877, 0.374, 0.644)
O (0.497, 0.126, 0.643)
O (0.629, 0.503, 0.644)
O (0.874, 0.500, 0.143)
O (0.632, 0.120, 0.141)
O (0.490, 0.359, 0.145)
O (0.468, 0.301, 0.026)
O (0.835, 0.529, 0.025)
O (0.697, 0.164, 0.029)
O (0.466, 0.169, 0.525)
O (0.701, 0.533, 0.525)
O (0.829, 0.298, 0.528)
O (0.535, 0.694, 0.973)
O (0.160, 0.455, 0.976)
O (0.301, 0.835, 0.978)
O (0.542, 0.837, 0.477)
O (0.306, 0.459, 0.475)
O (0.163, 0.701, 0.477)
O (0.133, 0.636, 0.359)
O (0.500, 0.864, 0.359)
O (0.362, 0.493, 0.362)
O (0.134, 0.499, 0.859)
O (0.364, 0.866, 0.859)
O (0.508, 0.636, 0.861)
O (0.026, 0.841, 0.412)
O (0.815, 0.972, 0.411)
O (0.176, 0.193, 0.412)
O (0.027, 0.183, 0.911)
O (0.161, 0.974, 0.912)
O (0.806, 0.822, 0.912)
O (0.973, 0.161, 0.588)
O (0.188, 0.028, 0.588)
O (0.839, 0.811, 0.588)
O (0.977, 0.816, 0.088)
O (0.833, 0.034, 0.088)
O (0.188, 0.165, 0.089)
O (0.687, 0.169, 0.745)
O (0.484, 0.313, 0.745)
O (0.831, 0.518, 0.746)
O (0.687, 0.517, 0.245)
O (0.829, 0.310, 0.243)
O (0.484, 0.167, 0.244)
O (0.636, 0.502, 0.923)
O (0.855, 0.365, 0.922)
O (0.502, 0.150, 0.923)
O (0.631, 0.142, 0.421)
O (0.498, 0.364, 0.421)
O (0.849, 0.499, 0.421)
O (0.350, 0.506, 0.077)
O (0.150, 0.649, 0.079)
O (0.504, 0.865, 0.076)
O (0.355, 0.852, 0.579)
O (0.495, 0.644, 0.577)
O (0.151, 0.503, 0.577)
O (0.306, 0.828, 0.255)
O (0.520, 0.691, 0.256)
O (0.172, 0.477, 0.256)
O (0.309, 0.480, 0.756)
O (0.173, 0.695, 0.756)
O (0.523, 0.827, 0.756)

Computed properties:
M_tot   0.000 Bohr magnetons per cell

=====

Record order is preserved below.
E_form: -2.66, -2.67, -2.77 eV/atom